Record 1
This record from the Materials Project describes crystalline MgCo2O5 at its relaxed geometry. The functional is PBE+U.

Lattice parameters (Å, degrees): 3.202 11.382 4.890 90.00 90.00 90.00
Space group Pmmn (No. 59, origin choice 2)
Unique sites:
Mg: 0.250 0.250 0.117 x2
Co: 0.250 0.600 0.418 x4
O: 0.250 0.065 0.375 x4
O: 0.250 0.644 0.087 x4
O: 0.250 0.750 0.584 x2

## Properties
Energy relative to the elements: -1.42 eV per atom
Energy above the lowest structure with this stoichiometry: 0.0000 eV per atom

Record 2
This record from the Materials Project describes crystalline MgCo7O12 at its relaxed geometry. The functional is PBE+U.

Lattice parameters (Å, degrees): 5.046 5.050 9.729 96.35 95.92 119.92
Space group P1 (No. 1)
Unique sites:
Mg: 0.000 0.000 0.000 x1
Co: 0.189 0.811 0.501 x1
Co: 0.352 0.649 0.000 x1
Co: 0.418 0.069 0.233 x1
Co: 0.520 0.480 0.501 x1
Co: 0.681 0.319 0.000 x1
Co: 0.855 0.143 0.500 x1
Co: 0.934 0.580 0.767 x1
O: 0.089 0.704 0.114 x1
O: 0.172 0.104 0.397 x1
O: 0.223 0.526 0.601 x1
O: 0.298 0.910 0.887 x1
O: 0.411 0.359 0.108 x1
O: 0.475 0.774 0.401 x1
O: 0.595 0.245 0.617 x1
O: 0.642 0.589 0.892 x1
O: 0.694 0.032 0.110 x1
O: 0.754 0.404 0.384 x1
O: 0.895 0.829 0.604 x1
O: 0.970 0.306 0.890 x1

## Properties
Energy relative to the elements: -1.24 eV per atom
Energy above the lowest structure with this stoichiometry: 0.0000 eV per atom

Record 3
This record from the Materials Project describes crystalline MgCo2O4 at its relaxed geometry. The functional is PBE+U.

Lattice parameters (Å, degrees): 5.9504 5.9504 14.6564 90.00 90.00 120.00
Space group R3m (No. 160, hexagonal axes)
Unique sites:
Mg: 0.0000 0.0000 0.0000 x3
Mg: 0.0000 0.0000 0.3787 x3
Co: 0.0000 0.0000 0.6204 x3
Co: 0.1685 0.3369 0.8324 x9
O: 0.0000 0.0000 0.2426 x3
O: 0.0000 0.0000 0.7559 x3
O: 0.0257 0.5128 0.7585 x9
O: 0.1781 0.3563 0.5749 x9

## Properties
Energy relative to the elements: -1.73 eV per atom
Energy above the lowest structure with this stoichiometry: 0.1156 eV per atom

Record 4
This record from the Materials Project describes crystalline MgCo2O4 at its relaxed geometry. The functional is PBE+U.

Lattice parameters (Å, degrees): 3.0159 3.0159 9.8809 90.00 90.00 120.00
Space group P-3m1 (No. 164)
Unique sites:
Mg: 0.0000 0.0000 0.0000 x1
Co: 0.0000 0.0000 0.2676 x2
O: 0.3333 0.6667 0.1246 x2
O: 0.3333 0.6667 0.6517 x2

## Properties
Energy relative to the elements: -1.48 eV per atom
Energy above the lowest structure with this stoichiometry: 0.3664 eV per atom

- Which value of energy relative to the elements does entry 4 give?
  -1.48 eV per atom

Please write out number 4 again, unchanged.
This record from the Materials Project describes crystalline MgCo2O4 at its relaxed geometry. The functional is PBE+U.

Lattice parameters (Å, degrees): 3.0159 3.0159 9.8809 90.00 90.00 120.00
Space group P-3m1 (No. 164)
Unique sites:
Mg: 0.0000 0.0000 0.0000 x1
Co: 0.0000 0.0000 0.2676 x2
O: 0.3333 0.6667 0.1246 x2
O: 0.3333 0.6667 0.6517 x2

## Properties
Energy relative to the elements: -1.48 eV per atom
Energy above the lowest structure with this stoichiometry: 0.3664 eV per atom